# Zr2N2O GGA-PBE relaxed
# VASP energy (eV per atom): -9.72
# M_tot (Bohr magnetons per cell): 0.00
data_Zr2N2O
_chemical_formula_sum 'Zr8 N8 O4'
_symmetry_space_group_name_H-M 'P 1'
_symmetry_Int_Tables_number 1
_symmetry_space_group_name_Hall 'P 1'
_cell_length_a 5.529
_cell_length_b 5.576
_cell_length_c 10.329
_cell_angle_alpha 75.47
_cell_angle_beta 74.93
_cell_angle_gamma 60.66
loop_
_atom_site_label
_atom_site_type_symbol
_atom_site_fract_x
_atom_site_fract_y
_atom_site_fract_z
_atom_site_occupancy
Zr1 Zr 0.000 0.000 0.000 1
Zr2 Zr 0.090 0.136 0.675 1
Zr3 Zr 0.257 0.250 0.250 1
Zr4 Zr 0.370 0.352 0.926 1
Zr5 Zr 0.489 0.492 0.500 1
Zr6 Zr 0.582 0.626 0.175 1
Zr7 Zr 0.735 0.763 0.749 1
Zr8 Zr 0.862 0.872 0.424 1
N1 N 0.091 0.510 0.584 1
N2 N 0.254 0.859 0.336 1
N3 N 0.282 0.608 0.090 1
N4 N 0.339 0.051 0.839 1
N5 N 0.553 0.258 0.337 1
N6 N 0.587 0.012 0.084 1
N7 N 0.747 0.357 0.832 1
N8 N 0.791 0.103 0.587 1
O1 O 0.043 0.748 0.841 1
O2 O 0.489 0.804 0.590 1
O3 O 0.849 0.557 0.338 1
O4 O 0.982 0.313 0.088 1



# Hg3SO6 GGA-PBE relaxed
# VASP energy (eV per atom): -4.25
data_Hg3SO6
_chemical_formula_sum 'Hg9 S3 O18'
_symmetry_space_group_name_H-M 'P 31 2 1'
_symmetry_Int_Tables_number 152
_symmetry_space_group_name_Hall 'P 31 2"'
_cell_length_a 7.1791
_cell_length_b 7.1791
_cell_length_c 10.6448
_cell_angle_alpha 90.00
_cell_angle_beta 90.00
_cell_angle_gamma 120.00
loop_
_atom_site_label
_atom_site_type_symbol
_atom_site_fract_x
_atom_site_fract_y
_atom_site_fract_z
_atom_site_occupancy
Hg1 Hg 0.0000 0.7033 0.1667 1
Hg2 Hg 0.1936 0.4989 0.8265 1
S1 S 0.0000 0.2283 0.1667 1
O1 O 0.0348 0.8466 0.9065 1
O2 O 0.1214 0.4118 0.0763 1
O3 O 0.1438 0.4729 0.5455 1



# LaDyTl2 GGA-PBE relaxed
# VASP energy (eV per atom): -3.95
data_LaDyTl2
_chemical_formula_sum 'La4 Dy4 Tl8'
_symmetry_space_group_name_H-M 'F m -3 m'
_symmetry_Int_Tables_number 225
_symmetry_space_group_name_Hall '-F 4 2 3'
_cell_length_a 7.793
_cell_length_b 7.793
_cell_length_c 7.793
_cell_angle_alpha 90.00
_cell_angle_beta 90.00
_cell_angle_gamma 90.00
loop_
_atom_site_label
_atom_site_type_symbol
_atom_site_fract_x
_atom_site_fract_y
_atom_site_fract_z
_atom_site_occupancy
La1 La 0.000 0.000 0.000 1
Dy1 Dy 0.000 0.000 0.500 1
Tl1 Tl 0.250 0.250 0.250 1



# TbGa2Ni3 GGA-PBE relaxed
# VASP energy (eV per atom): -5.22
# M_tot (Bohr magnetons per cell): 0.00
data_TbGa2Ni3
_chemical_formula_sum 'Tb6 Ga12 Ni18'
_symmetry_space_group_name_H-M 'C m m m'
_symmetry_Int_Tables_number 65
_symmetry_space_group_name_Hall '-C 2 2'
_cell_length_a 8.908
_cell_length_b 15.493
_cell_length_c 3.899
_cell_angle_alpha 90.00
_cell_angle_beta 90.00
_cell_angle_gamma 90.00
loop_
_atom_site_label
_atom_site_type_symbol
_atom_site_fract_x
_atom_site_fract_y
_atom_site_fract_z
_atom_site_occupancy
Tb1 Tb 0.000 0.000 0.000 1
Tb2 Tb 0.000 0.333 0.500 1
Ga1 Ga 0.157 0.158 0.500 1
Ga2 Ga 0.185 0.500 0.500 1
Ni1 Ni 0.000 0.181 0.000 1
Ni2 Ni 0.000 0.500 0.000 1
Ni3 Ni 0.228 0.410 0.000 1
Ni4 Ni 0.250 0.250 0.000 1



# ZnBiSbO5 GGA-PBE relaxed
# Relative energy among the computed polymorphs (eV per atom): 0.0000
# M_tot (Bohr magnetons per cell): 0.00
data_ZnBiSbO5
_chemical_formula_sum 'Zn8 Bi8 Sb8 O40'
_symmetry_space_group_name_H-M 'P b c a'
_symmetry_Int_Tables_number 61
_symmetry_space_group_name_Hall '-P 2ac 2ab'
_cell_length_a 5.269
_cell_length_b 16.322
_cell_length_c 10.606
_cell_angle_alpha 90.00
_cell_angle_beta 90.00
_cell_angle_gamma 90.00
loop_
_atom_site_label
_atom_site_type_symbol
_atom_site_fract_x
_atom_site_fract_y
_atom_site_fract_z
_atom_site_occupancy
Zn1 Zn 0.048 0.066 0.097 1
Bi1 Bi 0.050 0.219 0.357 1
Sb1 Sb 0.021 0.090 0.637 1
O1 O 0.124 0.645 0.290 1
O2 O 0.163 0.198 0.678 1
O3 O 0.184 0.638 0.003 1
O4 O 0.212 0.041 0.789 1
O5 O 0.239 0.533 0.530 1



# CrCoP GGA-PBE relaxed
# VASP energy (eV per atom): -7.96
# M_tot (Bohr magnetons per cell): 7.83
data_CrCoP
_chemical_formula_sum 'Cr4 Co4 P4'
_symmetry_space_group_name_H-M 'P n m a'
_symmetry_Int_Tables_number 62
_symmetry_space_group_name_Hall '-P 2ac 2n'
_cell_length_a 5.730
_cell_length_b 3.524
_cell_length_c 6.682
_cell_angle_alpha 90.00
_cell_angle_beta 90.00
_cell_angle_gamma 90.00
loop_
_atom_site_label
_atom_site_type_symbol
_atom_site_fract_x
_atom_site_fract_y
_atom_site_fract_z
_atom_site_occupancy
Cr1 Cr 0.027 0.250 0.173 1
Co1 Co 0.143 0.250 0.564 1
P1 P 0.239 0.750 0.377 1



# Nd4Si3S12 GGA-PBE relaxed
# VASP energy (eV per atom): -5.88
data_Nd4Si3S12
_chemical_formula_sum 'Nd24 Si18 S72'
_symmetry_space_group_name_H-M 'R 3 c'
_symmetry_Int_Tables_number 161
_symmetry_space_group_name_Hall 'R 3 -2"c'
_cell_length_a 19.2632
_cell_length_b 19.2632
_cell_length_c 7.9886
_cell_angle_alpha 90.00
_cell_angle_beta 90.00
_cell_angle_gamma 120.00
loop_
_atom_site_label
_atom_site_type_symbol
_atom_site_fract_x
_atom_site_fract_y
_atom_site_fract_z
_atom_site_occupancy
Nd1 Nd 0.0000 0.0000 0.0000 1
Nd2 Nd 0.0035 0.2316 0.2054 1
Si1 Si 0.1470 0.4669 0.3217 1
S1 S 0.0001 0.2686 0.8489 1
S2 S 0.0839 0.2018 0.5044 1
S3 S 0.1255 0.0603 0.7493 1
S4 S 0.1533 0.3804 0.1663 1



# AgBrO4 GGA-PBE relaxed
# VASP energy (eV per atom): -3.77
# M_tot (Bohr magnetons per cell): 0.00
data_AgBrO4
_chemical_formula_sum 'Ag4 Br4 O16'
_symmetry_space_group_name_H-M 'I 41/a'
_symmetry_Int_Tables_number 88
_cell_length_a 5.181
_cell_length_b 5.181
_cell_length_c 13.098
_cell_angle_alpha 90.00
_cell_angle_beta 90.00
_cell_angle_gamma 90.00
loop_
_symmetry_equiv_pos_as_xyz
'x,y,z'
'-x,-y,-z'
'-y+3/4,x+1/4,z+1/4'
'y+3/4,-x+1/4,-z+1/4'
'-x+1/2,-y,z+1/2'
'x+1/2,y,-z+1/2'
'y+3/4,-x+3/4,z+3/4'
'-y+3/4,x+3/4,-z+3/4'
'x+1/2,y+1/2,z+1/2'
'-x+1/2,-y+1/2,-z+1/2'
'-y+1/4,x+3/4,z+3/4'
'y+1/4,-x+3/4,-z+3/4'
'-x,-y+1/2,z'
'x,y+1/2,-z'
'y+1/4,-x+1/4,z+1/4'
'-y+1/4,x+1/4,-z+1/4'
loop_
_atom_site_label
_atom_site_type_symbol
_atom_site_fract_x
_atom_site_fract_y
_atom_site_fract_z
_atom_site_occupancy
Ag1 Ag 0.000 0.250 0.125 1
Br1 Br 0.000 0.250 0.625 1
O1 O 0.131 0.017 0.696 1



# ErSn3 GGA-PBE relaxed
# VASP energy (eV per atom): -4.54
data_ErSn3
_chemical_formula_sum 'Er1 Sn3'
_symmetry_space_group_name_H-M 'P m -3 m'
_symmetry_Int_Tables_number 221
_symmetry_space_group_name_Hall '-P 4 2 3'
_cell_length_a 4.706
_cell_length_b 4.706
_cell_length_c 4.706
_cell_angle_alpha 90.00
_cell_angle_beta 90.00
_cell_angle_gamma 90.00
loop_
_atom_site_label
_atom_site_type_symbol
_atom_site_fract_x
_atom_site_fract_y
_atom_site_fract_z
_atom_site_occupancy
Er1 Er 0.000 0.000 0.000 1
Sn1 Sn 0.000 0.500 0.500 1



# Cs2Tb6Te7N2 GGA-PBE relaxed
# Relative energy among the computed polymorphs (eV per atom): 0.0000
# M_tot (Bohr magnetons per cell): 0.00
data_Cs2Tb6Te7N2
_chemical_formula_sum 'Cs4 Tb12 Te14 N4'
_symmetry_space_group_name_H-M 'C 1 m 1'
_symmetry_Int_Tables_number 8
_symmetry_space_group_name_Hall 'C -2y'
_cell_length_a 24.288
_cell_length_b 4.223
_cell_length_c 11.536
_cell_angle_alpha 90.00
_cell_angle_beta 103.71
_cell_angle_gamma 90.00
loop_
_atom_site_label
_atom_site_type_symbol
_atom_site_fract_x
_atom_site_fract_y
_atom_site_fract_z
_atom_site_occupancy
Cs1 Cs 0.000 0.000 0.000 1
Cs2 Cs 0.132 0.000 0.396 1
Tb1 Tb 0.156 0.500 0.832 1
Tb2 Tb 0.229 0.000 0.085 1
Tb3 Tb 0.280 0.000 0.828 1
Tb4 Tb 0.350 0.500 0.566 1
Tb5 Tb 0.400 0.500 0.307 1
Tb6 Tb 0.473 0.000 0.558 1
Te1 Te 0.065 0.000 0.693 1
Te2 Te 0.140 0.500 0.099 1
Te3 Te 0.229 0.500 0.639 1
Te4 Te 0.306 0.000 0.357 1
Te5 Te 0.325 0.500 0.035 1
Te6 Te 0.400 0.000 0.754 1
Te7 Te 0.489 0.000 0.292 1
N1 N 0.202 0.000 0.891 1
N2 N 0.427 0.500 0.501 1



# LiDy2Br5 GGA-PBE relaxed
# VASP energy (eV per atom): -3.85
# M_tot (Bohr magnetons per cell): 0.00
data_LiDy2Br5
_chemical_formula_sum 'Li4 Dy8 Br20'
_symmetry_space_group_name_H-M 'C 1 2/c 1'
_symmetry_Int_Tables_number 15
_symmetry_space_group_name_Hall '-C 2yc'
_cell_length_a 16.335
_cell_length_b 6.802
_cell_length_c 7.785
_cell_angle_alpha 90.00
_cell_angle_beta 91.19
_cell_angle_gamma 90.00
loop_
_atom_site_label
_atom_site_type_symbol
_atom_site_fract_x
_atom_site_fract_y
_atom_site_fract_z
_atom_site_occupancy
Li1 Li 0.250 0.250 0.000 1
Dy1 Dy 0.071 0.190 0.567 1
Br1 Br 0.000 0.123 0.250 1
Br2 Br 0.090 0.403 0.899 1
Br3 Br 0.204 0.061 0.337 1



# K4UC2Se2O15 GGA-PBE relaxed
# VASP energy (eV per atom): -6.28
# M_tot (Bohr magnetons per cell): 7.84
data_K4UC2Se2O15
_chemical_formula_sum 'K16 U4 C8 Se8 O60'
_symmetry_space_group_name_H-M 'P 1 21/c 1'
_symmetry_Int_Tables_number 14
_symmetry_space_group_name_Hall '-P 2ybc'
_cell_length_a 15.236
_cell_length_b 7.448
_cell_length_c 17.767
_cell_angle_alpha 90.00
_cell_angle_beta 124.42
_cell_angle_gamma 90.00
loop_
_atom_site_label
_atom_site_type_symbol
_atom_site_fract_x
_atom_site_fract_y
_atom_site_fract_z
_atom_site_occupancy
K1 K 0.000 0.006 0.146 1
K2 K 0.145 0.520 0.925 1
K3 K 0.372 0.638 0.491 1
K4 K 0.377 0.585 0.206 1
U1 U 0.330 0.166 0.305 1
C1 C 0.213 0.148 0.081 1
C2 C 0.264 0.541 0.616 1
Se1 Se 0.144 0.555 0.254 1
Se2 Se 0.445 0.166 0.559 1
O1 O 0.027 0.705 0.983 1
O2 O 0.054 0.105 0.726 1
O3 O 0.107 0.688 0.165 1
O4 O 0.164 0.187 0.999 1
O5 O 0.164 0.670 0.342 1
O6 O 0.214 0.072 0.296 1
O7 O 0.229 0.249 0.647 1
O8 O 0.251 0.662 0.561 1
O9 O 0.266 0.040 0.791 1
O10 O 0.320 0.557 0.703 1
O11 O 0.363 0.000 0.541 1
O12 O 0.411 0.232 0.960 1
O13 O 0.430 0.586 0.897 1
O14 O 0.447 0.238 0.816 1
O15 O 0.449 0.174 0.125 1